(1)
# CsTlO

An optimized crystal structure of CsTlO (PBE-GGA, the Materials Project database).

Results
- MP2020-corrected energy (eV per atom) = -3.90
- uncorrected energy (eV per atom) = -3.670

Unit cell a=7.449 b=7.449 c=6.715 alpha=74.39 beta=74.39 gamma=30.22
Element x y z (fractional)
Tl 0.650 0.650 0.138
Cs 0.877 0.877 0.345
Cs 0.123 0.123 0.655
Tl 0.350 0.350 0.862
O 0.752 0.752 0.792
O 0.248 0.248 0.208

---

(2)
# Cs3TlO3

An optimized crystal structure of Cs3TlO3 (PBE-GGA, the Materials Project database).

Results
- MP2020-corrected energy (eV per atom) = -4.20
- uncorrected energy (eV per atom) = -3.906
- excess energy over the best structure of this formula in the dataset (eV per atom) = 0.000

Unit cell a=7.494 b=8.358 c=12.191 alpha=85.12 beta=90.00 gamma=90.00
Element x y z (fractional)
O 0.542 0.899 0.401
Cs 0.180 0.354 0.574
O 0.145 0.746 0.537
Cs 0.807 0.370 0.192
Tl 0.410 0.838 0.568
Tl 0.590 0.162 0.432
O 0.855 0.254 0.463
Cs 0.693 0.370 0.692
Tl 0.090 0.838 0.068
Cs 0.307 0.630 0.308
O 0.563 0.695 0.691
Cs 0.193 0.630 0.808
Cs 0.372 0.056 0.845
Cs 0.820 0.646 0.426
Cs 0.680 0.646 0.926
O 0.437 0.305 0.309
O 0.458 0.101 0.599
Cs 0.628 0.944 0.155
Cs 0.128 0.056 0.345
O 0.958 0.899 0.901
O 0.937 0.695 0.191
Cs 0.872 0.944 0.655
Cs 0.320 0.354 0.074
O 0.645 0.254 0.963
O 0.042 0.101 0.099
Tl 0.910 0.162 0.932
O 0.063 0.305 0.809
O 0.355 0.746 0.037

---

(3)
# CsU2O6

An optimized crystal structure of CsU2O6 (PBE-GGA, the Materials Project database).

Results
- MP2020-corrected energy (eV per atom) = -9.40
- uncorrected energy (eV per atom) = -8.943
- excess energy over the best structure of this formula in the dataset (eV per atom) = 0.015

Unit cell a=11.049 b=11.049 c=11.049 alpha=89.37 beta=89.37 gamma=89.37
Element x y z (fractional)
O 0.168 0.134 0.865
Cs 0.387 0.374 0.875
O 0.146 0.108 0.430
U 0.741 0.762 0.494
O 0.129 0.299 0.659
O 0.832 0.866 0.135
O 0.678 0.082 0.020
O 0.854 0.892 0.570
U 0.215 0.746 0.997
O 0.082 0.850 0.440
U 0.238 0.506 0.259
O 0.440 0.082 0.850
Cs 0.374 0.875 0.387
U 0.259 0.238 0.506
O 0.185 0.367 0.396
O 0.866 0.135 0.832
O 0.376 0.677 0.885
U 0.506 0.259 0.238
Cs 0.626 0.125 0.613
U 0.500 0.000 0.000
O 0.677 0.885 0.376
O 0.616 0.636 0.429
U 0.000 0.500 0.000
O 0.659 0.129 0.299
O 0.871 0.701 0.341
O 0.850 0.440 0.082
O 0.396 0.185 0.367
O 0.604 0.815 0.633
O 0.865 0.168 0.134
O 0.323 0.115 0.624
O 0.134 0.865 0.168
O 0.701 0.341 0.871
Cs 0.613 0.626 0.125
O 0.082 0.020 0.678
U 0.785 0.254 0.003
O 0.384 0.364 0.571
Cs 0.855 0.855 0.855
O 0.570 0.854 0.892
U 0.003 0.785 0.254
U 0.254 0.003 0.785
Cs 0.875 0.387 0.374
Cs 0.125 0.613 0.626
U 0.000 0.000 0.500
O 0.918 0.980 0.322
O 0.150 0.560 0.918
O 0.560 0.918 0.150
U 0.746 0.997 0.215
U 0.500 0.500 0.500
O 0.367 0.396 0.185
U 0.762 0.494 0.741
O 0.624 0.323 0.115
O 0.892 0.570 0.854
O 0.571 0.384 0.364
O 0.636 0.429 0.616
O 0.885 0.376 0.677
O 0.633 0.604 0.815
O 0.430 0.146 0.108
O 0.429 0.616 0.636
O 0.135 0.832 0.866
O 0.980 0.322 0.918
O 0.020 0.678 0.082
O 0.815 0.633 0.604
O 0.299 0.659 0.129
U 0.494 0.741 0.762
U 0.997 0.215 0.746
Cs 0.145 0.145 0.145
O 0.108 0.430 0.146
O 0.115 0.624 0.323
O 0.322 0.918 0.980
O 0.364 0.571 0.384
O 0.918 0.150 0.560
O 0.341 0.871 0.701

---

(4)
# Cs4U5O17

An optimized crystal structure of Cs4U5O17 (PBE-GGA, the Materials Project database).

Results
- MP2020-corrected energy (eV per atom) = -8.88
- uncorrected energy (eV per atom) = -8.436

Unit cell a=7.120 b=15.398 c=19.039 alpha=90.00 beta=90.00 gamma=90.00
Element x y z (fractional)
O 0.919 0.830 0.127
O 0.296 0.680 0.290
Cs 0.701 0.950 0.308
Cs 0.270 0.025 0.943
O 0.372 0.865 0.029
Cs 0.270 0.475 0.057
U 0.026 0.194 0.311
O 0.073 0.094 0.080
O 0.872 0.865 0.471
O 0.628 0.135 0.971
U 0.425 0.712 0.397
Cs 0.201 0.950 0.192
Cs 0.299 0.050 0.692
O 0.704 0.180 0.290
Cs 0.299 0.450 0.308
O 0.573 0.406 0.580
O 0.704 0.320 0.710
O 0.507 0.312 0.207
O 0.872 0.635 0.529
O 0.539 0.750 0.500
Cs 0.730 0.525 0.943
O 0.040 0.427 0.679
U 0.425 0.788 0.603
O 0.739 0.710 0.384
O 0.993 0.812 0.293
O 0.609 0.716 0.081
O 0.419 0.830 0.373
O 0.609 0.784 0.919
O 0.460 0.573 0.179
U 0.626 0.250 0.000
O 0.796 0.820 0.790
O 0.372 0.635 0.971
O 0.419 0.670 0.627
Cs 0.701 0.550 0.692
Cs 0.730 0.975 0.057
O 0.204 0.320 0.790
U 0.374 0.750 0.000
O 0.540 0.427 0.821
Cs 0.799 0.050 0.808
O 0.891 0.216 0.419
Cs 0.230 0.975 0.443
U 0.075 0.212 0.103
O 0.427 0.594 0.420
O 0.391 0.216 0.081
O 0.427 0.906 0.580
U 0.974 0.806 0.689
Cs 0.230 0.525 0.557
O 0.493 0.688 0.793
O 0.927 0.594 0.080
O 0.073 0.406 0.920
O 0.261 0.210 0.384
O 0.493 0.812 0.207
O 0.460 0.927 0.821
U 0.925 0.712 0.103
U 0.874 0.750 0.500
O 0.296 0.820 0.710
Cs 0.770 0.475 0.443
O 0.573 0.094 0.420
O 0.796 0.680 0.210
O 0.109 0.784 0.581
O 0.007 0.188 0.707
O 0.391 0.284 0.919
O 0.919 0.670 0.873
O 0.007 0.312 0.293
U 0.925 0.788 0.897
O 0.628 0.365 0.029
U 0.474 0.806 0.811
O 0.739 0.790 0.616
O 0.581 0.330 0.373
O 0.891 0.284 0.581
Cs 0.770 0.025 0.557
O 0.204 0.180 0.210
O 0.081 0.330 0.127
O 0.761 0.290 0.884
O 0.128 0.135 0.529
U 0.575 0.288 0.603
O 0.040 0.073 0.321
O 0.960 0.927 0.679
U 0.075 0.288 0.897
O 0.927 0.906 0.920
U 0.026 0.306 0.689
O 0.961 0.250 0.000
O 0.109 0.716 0.419
U 0.526 0.194 0.189
O 0.507 0.188 0.793
O 0.039 0.750 0.000
Cs 0.799 0.450 0.192
O 0.960 0.573 0.321
U 0.575 0.212 0.397
U 0.126 0.250 0.500
O 0.461 0.250 0.500
Cs 0.201 0.550 0.808
U 0.526 0.306 0.811
O 0.239 0.710 0.116
U 0.974 0.694 0.311
O 0.239 0.790 0.884
O 0.993 0.688 0.707
O 0.761 0.210 0.116
O 0.581 0.170 0.627
O 0.081 0.170 0.873
O 0.128 0.365 0.471
O 0.540 0.073 0.179
O 0.261 0.290 0.616
U 0.474 0.694 0.189

---

(5)
# Cs2UO4

An optimized crystal structure of Cs2UO4 (PBE-GGA, the Materials Project database).

Results
- MP2020-corrected energy (eV per atom) = -7.72
- uncorrected energy (eV per atom) = -7.326

Unit cell a=8.283 b=8.283 c=8.283 alpha=149.01 beta=149.01 gamma=44.40
Element x y z (fractional)
U 0.000 0.000 0.000
Cs 0.346 0.346 0.000
O 0.127 0.127 0.000
O 0.500 0.000 0.500
O 0.000 0.500 0.500
O 0.873 0.873 0.000
Cs 0.654 0.654 0.000

---

(6)
# CsUO3

An optimized crystal structure of CsUO3 (PBE-GGA, the Materials Project database).

Results
- MP2020-corrected energy (eV per atom) = -8.63
- uncorrected energy (eV per atom) = -8.213

Unit cell a=4.415 b=4.415 c=4.415 alpha=90.00 beta=90.00 gamma=90.00
Element x y z (fractional)
Cs 0.000 0.000 0.000
O 0.500 0.000 0.500
O 0.500 0.500 0.000
U 0.500 0.500 0.500
O 0.000 0.500 0.500

---

(7)
# CsU2O6

An optimized crystal structure of CsU2O6 (PBE-GGA, the Materials Project database).

Results
- MP2020-corrected energy (eV per atom) = -9.42
- uncorrected energy (eV per atom) = -8.958
- excess energy over the best structure of this formula in the dataset (eV per atom) = 0.000

Unit cell a=7.953 b=7.953 c=7.953 alpha=60.00 beta=60.00 gamma=60.00
Element x y z (fractional)
O 0.310 0.310 0.690
O 0.690 0.310 0.690
O 0.560 0.940 0.940
U 0.125 0.625 0.625
O 0.940 0.560 0.940
O 0.690 0.690 0.310
U 0.625 0.625 0.625
O 0.940 0.560 0.560
O 0.690 0.310 0.310
O 0.560 0.560 0.940
O 0.560 0.940 0.560
O 0.310 0.690 0.690
U 0.625 0.625 0.125
Cs 0.000 0.000 0.000
O 0.940 0.940 0.560
Cs 0.250 0.250 0.250
O 0.310 0.690 0.310
U 0.625 0.125 0.625

---

(8)
# CsY3O5

An optimized crystal structure of CsY3O5 (PBE-GGA, the Materials Project database).

Results
- MP2020-corrected energy (eV per atom) = -8.51
- uncorrected energy (eV per atom) = -8.133

Unit cell a=3.520 b=10.562 c=17.565 alpha=90.00 beta=90.00 gamma=90.00
Element x y z (fractional)
Y 0.250 0.894 0.839
O 0.250 0.479 0.420
Y 0.750 0.186 0.815
O 0.250 0.270 0.885
O 0.750 0.521 0.580
O 0.250 0.278 0.551
O 0.750 0.021 0.920
O 0.750 0.431 0.271
O 0.750 0.230 0.385
Y 0.250 0.314 0.315
Cs 0.250 0.971 0.375
O 0.250 0.191 0.214
Cs 0.250 0.471 0.125
Y 0.750 0.849 0.013
O 0.250 0.569 0.729
O 0.250 0.770 0.615
Y 0.750 0.686 0.685
O 0.750 0.730 0.115
O 0.750 0.309 0.714
Y 0.750 0.349 0.487
Y 0.750 0.106 0.161
Y 0.750 0.606 0.339
O 0.250 0.979 0.080
O 0.750 0.809 0.786
Y 0.250 0.151 0.987
O 0.250 0.069 0.771
O 0.750 0.222 0.051
Y 0.250 0.651 0.513
O 0.750 0.931 0.229
Cs 0.750 0.029 0.625
Cs 0.750 0.529 0.875
O 0.250 0.691 0.286
Y 0.250 0.814 0.185
O 0.250 0.778 0.949
O 0.750 0.722 0.449
Y 0.250 0.394 0.661

---

(9)
# Cs4ZnO3

An optimized crystal structure of Cs4ZnO3 (PBE-GGA, the Materials Project database).

Results
- MP2020-corrected energy (eV per atom) = -3.88
- uncorrected energy (eV per atom) = -3.625

Unit cell a=19.215 b=7.152 c=7.277 alpha=63.83 beta=90.00 gamma=90.00
Element x y z (fractional)
O 0.907 0.189 0.040
O 0.165 0.016 0.494
Cs 0.576 0.150 0.850
Cs 0.076 0.350 0.150
Cs 0.307 0.675 0.783
O 0.835 0.984 0.506
Cs 0.424 0.850 0.150
Cs 0.501 0.291 0.290
Zn 0.617 0.712 0.286
Cs 0.306 0.217 0.333
Cs 0.694 0.783 0.667
O 0.902 0.467 0.310
Cs 0.194 0.717 0.333
O 0.598 0.967 0.310
Cs 0.001 0.209 0.710
O 0.593 0.689 0.040
Cs 0.806 0.283 0.667
O 0.407 0.311 0.960
Cs 0.924 0.650 0.850
Zn 0.883 0.212 0.286
Cs 0.807 0.825 0.217
O 0.665 0.484 0.506
Zn 0.383 0.288 0.714
O 0.098 0.533 0.690
O 0.335 0.516 0.494
O 0.402 0.033 0.690
Zn 0.117 0.788 0.714
Cs 0.999 0.791 0.290
Cs 0.693 0.325 0.217
Cs 0.193 0.175 0.783
Cs 0.499 0.709 0.710
O 0.093 0.811 0.960

---

(10)
# Cs2ZnO2

An optimized crystal structure of Cs2ZnO2 (PBE-GGA, the Materials Project database).

Results
- MP2020-corrected energy (eV per atom) = -4.12
- uncorrected energy (eV per atom) = -3.846

Unit cell a=6.727 b=10.031 c=16.624 alpha=62.81 beta=90.00 gamma=90.00
Element x y z (fractional)
Cs 0.577 0.428 0.121
O 0.722 0.271 0.969
O 0.914 0.619 0.140
Cs 0.175 0.147 0.524
O 0.586 0.619 0.640
Cs 0.362 0.925 0.339
Zn 0.365 0.755 0.628
O 0.120 0.370 0.069
Zn 0.555 0.415 0.460
O 0.620 0.630 0.431
Zn 0.055 0.585 0.040
Cs 0.675 0.853 0.976
Cs 0.410 0.324 0.758
Zn 0.945 0.415 0.960
O 0.778 0.271 0.469
Zn 0.865 0.245 0.872
Cs 0.325 0.147 0.024
O 0.806 0.141 0.806
Cs 0.923 0.428 0.621
Cs 0.090 0.324 0.258
Cs 0.423 0.572 0.879
Cs 0.138 0.925 0.839
Cs 0.590 0.676 0.242
Zn 0.635 0.245 0.372
Cs 0.910 0.676 0.742
O 0.694 0.141 0.306
Cs 0.825 0.853 0.476
O 0.414 0.381 0.360
O 0.380 0.370 0.569
O 0.194 0.859 0.194
Cs 0.638 0.075 0.661
O 0.880 0.630 0.931
Cs 0.862 0.075 0.161
O 0.222 0.729 0.531
Cs 0.077 0.572 0.379
O 0.086 0.381 0.860
Zn 0.135 0.755 0.128
Zn 0.445 0.585 0.540
O 0.278 0.729 0.031
O 0.306 0.859 0.694

---

Number 1: formation enthalpy at 0 K -112 kJ per mole of atoms. Number 2: formation enthalpy at 0 K -131 kJ per mole of atoms. Number 3: formation enthalpy at 0 K -337 kJ per mole of atoms. Number 4: formation enthalpy at 0 K -322 kJ per mole of atoms. Number 5: formation enthalpy at 0 K -292 kJ per mole of atoms. Number 6: formation enthalpy at 0 K -311 kJ per mole of atoms. Number 7: formation enthalpy at 0 K -339 kJ per mole of atoms. Number 8: formation enthalpy at 0 K -339 kJ per mole of atoms. Number 9: formation enthalpy at 0 K -137 kJ per mole of atoms. Number 10: formation enthalpy at 0 K -148 kJ per mole of atoms.